A geometry-optimized Li4Cu3Ni3Te2O16 structure. Source: the Materials Project database, functional PBE+U.

The structure in CIF format:
```
data_Li4Cu3Ni3Te2O16
_chemical_formula_sum 'Li8 Cu6 Ni6 Te4 O32'
_space_group_name_H-M_alt 'C 1 m 1'
_space_group_IT_number 8
_cell_length_a 10.211
_cell_length_b 5.930
_cell_length_c 9.709
_cell_angle_alpha 90.00
_cell_angle_beta 90.80
_cell_angle_gamma 90.00
loop_
_space_group_symop_operation_xyz
'x,y,z'
'x,-y,z'
'x+1/2,y+1/2,z'
'x+1/2,-y+1/2,z'
loop_
_atom_site_label
_atom_site_fract_x
_atom_site_fract_y
_atom_site_fract_z
Li1 0.000 0.000 0.000
Li2 0.004 0.000 0.502
Li3 0.161 0.500 0.427
Li4 0.325 0.000 0.929
Cu1 0.082 0.257 0.728
Cu2 0.167 0.000 0.228
Ni1 0.328 0.500 0.729
Ni2 0.413 0.245 0.228
Te1 0.165 0.500 0.000
Te2 0.335 0.000 0.497
O1 0.004 0.000 0.312
O2 0.007 0.000 0.808
O3 0.010 0.500 0.878
O4 0.083 0.254 0.105
O5 0.155 0.500 0.633
O6 0.175 0.000 0.605
O7 0.237 0.277 0.867
O8 0.257 0.226 0.369
O9 0.324 0.000 0.133
O10 0.331 0.500 0.104
O11 0.417 0.248 0.604
O12 0.481 0.000 0.366
```

Summary:
**DFT total energy**: -5.177 eV per atom
**Total magnetization**: 14.73 μB/cell
**ΔE_f**: -40.846 eV per formula unit
**Mass density**: 5.116 Mg/m³

A geometry-optimized Li3MnCu3O8 structure. Source: the Materials Project database, functional PBE+U.

The structure in CIF format:
```
data_Li3MnCu3O8
_chemical_formula_sum 'Li9 Mn3 Cu9 O24'
_space_group_name_H-M_alt 'R -3 m'
_space_group_IT_number 166
_space_group_name_Hall '-R 3 2"'
_cell_length_a 5.8720
_cell_length_b 5.8720
_cell_length_c 14.5982
_cell_angle_alpha 90.00
_cell_angle_beta 90.00
_cell_angle_gamma 120.00
loop_
_atom_site_label
_atom_site_fract_x
_atom_site_fract_y
_atom_site_fract_z
Li1 0.0000 0.5000 0.0000
Mn1 0.0000 0.0000 0.5000
Cu1 0.0000 0.5000 0.5000
O1 0.0000 0.0000 0.2397
O2 0.0188 0.5094 0.2398
```

Summary:
**DFT total energy**: -5.438 eV per atom
**Total magnetization**: 27.02 μB/cell
**ΔE_f**: -21.964 eV per formula unit
**Mass density**: 4.507 Mg/m³

A geometry-optimized Ti9Fe11O30 structure. Source: the Materials Project database, functional PBE+U.

The structure in CIF format:
```
data_Ti9Fe11O30
_chemical_formula_sum 'Ti9 Fe11 O30'
_space_group_name_H-M_alt 'P 1'
_space_group_IT_number 1
_cell_length_a 5.159
_cell_length_b 5.560
_cell_length_c 21.312
_cell_angle_alpha 85.19
_cell_angle_beta 89.69
_cell_angle_gamma 62.62
loop_
_space_group_symop_operation_xyz
'x,y,z'
loop_
_atom_site_label
_atom_site_fract_x
_atom_site_fract_y
_atom_site_fract_z
Ti1 0.000 0.000 0.000
Ti2 0.007 0.015 0.141
Ti3 0.110 0.824 0.446
Ti4 0.203 0.588 0.602
Ti5 0.392 0.214 0.349
Ti6 0.489 0.023 0.641
Ti7 0.595 0.815 0.944
Ti8 0.610 0.794 0.802
Ti9 0.697 0.609 0.244
Fe1 0.094 0.805 0.300
Fe2 0.193 0.616 0.745
Fe3 0.300 0.404 0.900
Fe4 0.301 0.409 0.045
Fe5 0.403 0.198 0.203
Fe6 0.506 0.983 0.504
Fe7 0.705 0.603 0.103
Fe8 0.797 0.409 0.543
Fe9 0.812 0.405 0.402
Fe10 0.895 0.205 0.703
Fe11 0.903 0.213 0.843
O1 0.058 0.306 0.623
O2 0.065 0.152 0.481
O3 0.101 0.577 0.385
O4 0.102 0.445 0.260
O5 0.149 0.302 0.126
O6 0.159 0.046 0.363
O7 0.251 0.902 0.217
O8 0.252 0.155 0.981
O9 0.258 0.777 0.088
O10 0.343 0.661 0.966
O11 0.352 0.029 0.859
O12 0.379 0.906 0.722
O13 0.444 0.777 0.590
O14 0.446 0.379 0.681
O15 0.448 0.520 0.820
O16 0.505 0.654 0.464
O17 0.512 0.251 0.566
O18 0.575 0.498 0.317
O19 0.630 0.985 0.286
O20 0.640 0.094 0.418
O21 0.664 0.375 0.189
O22 0.747 0.868 0.166
O23 0.756 0.102 0.929
O24 0.760 0.221 0.062
O25 0.840 0.718 0.017
O26 0.842 0.593 0.886
O27 0.860 0.953 0.780
O28 0.911 0.840 0.654
O29 0.930 0.463 0.764
O30 0.974 0.712 0.523
```

Summary:
**DFT total energy**: -7.606 eV per atom
**Total magnetization**: 0.89 μB/cell
**ΔE_f**: -113.049 eV per formula unit
**Mass density**: 4.685 Mg/m³
**Offset from the most stable computed form**: 0.0 meV/atom